Record 1
Computed, not measured: Be3Fe4Si3TeO12 after structural relaxation at the PBE+U level of DFT.

Structure (CIF):
```
data_Be3Fe4Si3TeO12
_space_group_name_H-M_alt 'P 1'
_space_group_IT_number 1
_cell_length_a 8.432
_cell_length_b 8.447
_cell_length_c 8.455
_cell_angle_alpha 89.66
_cell_angle_beta 89.75
_cell_angle_gamma 89.49
loop_
_space_group_symop_operation_xyz
'x,y,z'
loop_
_atom_site_label
_atom_site_type_symbol
_atom_site_fract_x
_atom_site_fract_y
_atom_site_fract_z
Be1 Be 0.000 0.000 0.000
Be2 Be 0.000 0.002 0.500
Be3 Be 0.252 0.501 0.752
Be4 Be 0.499 0.253 0.251
Be5 Be 0.501 0.753 0.250
Be6 Be 0.752 0.505 0.749
Fe1 Fe 0.185 0.312 0.434
Fe2 Fe 0.187 0.685 0.059
Fe3 Fe 0.310 0.189 0.932
Fe4 Fe 0.320 0.815 0.561
Fe5 Fe 0.683 0.816 0.940
Fe6 Fe 0.684 0.188 0.560
Fe7 Fe 0.812 0.687 0.435
Fe8 Fe 0.818 0.318 0.060
Si1 Si 0.000 0.753 0.750
Si2 Si 0.003 0.253 0.748
Si3 Si 0.250 0.004 0.248
Si4 Si 0.501 0.502 0.502
Si5 Si 0.502 0.503 0.002
Si6 Si 0.751 0.002 0.251
Te1 Te 0.001 0.502 0.249
Te2 Te 0.500 0.002 0.750
O1 O 0.077 0.143 0.892
O2 O 0.080 0.859 0.607
O3 O 0.141 0.080 0.391
O4 O 0.142 0.643 0.827
O5 O 0.147 0.924 0.105
O6 O 0.150 0.357 0.673
O7 O 0.355 0.150 0.172
O8 O 0.358 0.426 0.897
O9 O 0.359 0.581 0.610
O10 O 0.359 0.863 0.328
O11 O 0.423 0.358 0.398
O12 O 0.425 0.648 0.107
O13 O 0.577 0.645 0.393
O14 O 0.580 0.359 0.109
O15 O 0.641 0.144 0.329
O16 O 0.645 0.859 0.174
O17 O 0.646 0.580 0.894
O18 O 0.647 0.425 0.608
O19 O 0.856 0.080 0.107
O20 O 0.856 0.650 0.672
O21 O 0.857 0.925 0.396
O22 O 0.861 0.363 0.827
O23 O 0.923 0.857 0.895
O24 O 0.924 0.150 0.605
```

ΔH_f (0 K) = -5557 kJ/mol of formula units
ρ = 3.61 Mg/m³
Calculated total energy = -7.1400 eV/atom
Energy above the lowest structure with this stoichiometry = 0 meV/atom
MP2020-corrected energy = -363.0 eV for the cell shown
Total magnetization = 16.0 μB/f.u.

---

Record 2
Computed, not measured: NiHO2 after structural relaxation at the PBE+U level of DFT.

Structure (CIF):
```
data_NiHO2
_space_group_name_H-M_alt 'P 3 m 1'
_space_group_IT_number 156
_cell_length_a 2.9786
_cell_length_b 2.9786
_cell_length_c 4.5792
_cell_angle_alpha 90.00
_cell_angle_beta 90.00
_cell_angle_gamma 120.00
loop_
_space_group_symop_operation_xyz
'x,y,z'
'-y,x-y,z'
'-x+y,-x,z'
'-y,-x,z'
'-x+y,y,z'
'x,x-y,z'
loop_
_atom_site_label
_atom_site_type_symbol
_atom_site_fract_x
_atom_site_fract_y
_atom_site_fract_z
Ni1 Ni 0.0000 0.0000 0.0000
H1 H 0.3333 0.6667 0.4365
O1 O 0.3333 0.6667 0.2217
O2 O 0.6667 0.3333 0.7834
```

ΔH_f (0 K) = -387 kJ/mol of formula units
ρ = 4.33 Mg/m³
Calculated total energy = -4.7913 eV/atom
MP2020-corrected energy = -23.1 eV for the cell shown
Total magnetization = 1.0 μB/f.u.

---

Record 3
Computed, not measured: Li2CoSnP2O8 after structural relaxation at the PBE+U level of DFT.

Structure (CIF):
```
data_Li2CoSnP2O8
_space_group_name_H-M_alt 'P -1'
_space_group_IT_number 2
_cell_length_a 7.817
_cell_length_b 7.822
_cell_length_c 11.461
_cell_angle_alpha 91.82
_cell_angle_beta 91.85
_cell_angle_gamma 102.78
loop_
_space_group_symop_operation_xyz
'x,y,z'
'-x,-y,-z'
loop_
_atom_site_label
_atom_site_type_symbol
_atom_site_fract_x
_atom_site_fract_y
_atom_site_fract_z
Li1 Li 0.000 0.000 0.000
Li2 Li 0.000 0.500 0.500
Li3 Li 0.247 0.249 0.499
Li4 Li 0.250 0.750 0.000
Li5 Li 0.500 0.000 0.500
Li6 Li 0.500 0.500 0.000
Co1 Co 0.112 0.362 0.199
Co2 Co 0.387 0.138 0.802
Sn1 Sn 0.124 0.873 0.278
Sn2 Sn 0.373 0.623 0.722
P1 P 0.164 0.414 0.924
P2 P 0.193 0.943 0.613
P3 P 0.306 0.556 0.387
P4 P 0.336 0.086 0.078
O1 O 0.006 0.256 0.916
O2 O 0.035 0.790 0.621
O3 O 0.122 0.579 0.863
O4 O 0.130 0.580 0.324
O5 O 0.169 0.119 0.676
O6 O 0.170 0.126 0.140
O7 O 0.232 0.480 0.050
O8 O 0.243 0.992 0.486
O9 O 0.257 0.506 0.514
O10 O 0.270 0.019 0.952
O11 O 0.329 0.372 0.863
O12 O 0.336 0.384 0.322
O13 O 0.365 0.914 0.678
O14 O 0.377 0.920 0.140
O15 O 0.459 0.715 0.378
O16 O 0.494 0.243 0.086
```

ΔH_f (0 K) = -3181 kJ/mol of formula units
ρ = 3.71 Mg/m³
Calculated total energy = -6.5129 eV/atom
Energy above the lowest structure with this stoichiometry = 10 meV/atom
MP2020-corrected energy = -393.3 eV for the cell shown
Total magnetization = 3.0 μB/f.u.

---

Record 4
Computed, not measured: BaTeMo2O9 after structural relaxation at the PBE+U level of DFT.

Structure (CIF):
```
data_BaTeMo2O9
_space_group_name_H-M_alt 'P 1 21 1'
_space_group_IT_number 4
_cell_length_a 5.702
_cell_length_b 7.587
_cell_length_c 9.010
_cell_angle_alpha 90.00
_cell_angle_beta 90.45
_cell_angle_gamma 90.00
loop_
_space_group_symop_operation_xyz
'x,y,z'
'-x,y+1/2,-z'
loop_
_atom_site_label
_atom_site_type_symbol
_atom_site_fract_x
_atom_site_fract_y
_atom_site_fract_z
Ba1 Ba 0.221 0.000 0.434
Te1 Te 0.110 0.733 0.917
Mo1 Mo 0.277 0.477 0.267
Mo2 Mo 0.284 0.296 0.825
O1 O 0.001 0.849 0.697
O2 O 0.034 0.512 0.829
O3 O 0.042 0.651 0.124
O4 O 0.211 0.271 0.634
O5 O 0.213 0.316 0.059
O6 O 0.263 0.631 0.414
O7 O 0.476 0.097 0.857
O8 O 0.480 0.322 0.340
O9 O 0.494 0.956 0.176
```

ΔH_f (0 K) = -2698 kJ/mol of formula units
ρ = 5.12 Mg/m³
Calculated total energy = -6.6658 eV/atom
MP2020-corrected energy = -198.5 eV for the cell shown
Total magnetization = 0.0 μB/f.u.

---

Record 5
Computed, not measured: Li2Mn3F8 after structural relaxation at the PBE+U level of DFT.

Structure (CIF):
```
data_Li2Mn3F8
_space_group_name_H-M_alt 'P 1 21/c 1'
_space_group_IT_number 14
_cell_length_a 6.864
_cell_length_b 9.553
_cell_length_c 11.389
_cell_angle_alpha 90.00
_cell_angle_beta 91.93
_cell_angle_gamma 90.00
loop_
_space_group_symop_operation_xyz
'x,y,z'
'-x,-y,-z'
'-x,y+1/2,-z+1/2'
'x,-y+1/2,z+1/2'
loop_
_atom_site_label
_atom_site_type_symbol
_atom_site_fract_x
_atom_site_fract_y
_atom_site_fract_z
Li1 Li 0.088 0.107 0.140
Li2 Li 0.401 0.555 0.143
Mn1 Mn 0.110 0.546 0.877
Mn2 Mn 0.260 0.156 0.856
Mn3 Mn 0.407 0.697 0.434
F1 F 0.011 0.575 0.693
F2 F 0.104 0.733 0.417
F3 F 0.172 0.008 0.561
F4 F 0.176 0.151 0.296
F5 F 0.299 0.116 0.037
F6 F 0.372 0.540 0.309
F7 F 0.419 0.598 0.874
F8 F 0.461 0.747 0.109
```

ΔH_f (0 K) = -3723 kJ/mol of formula units
ρ = 2.94 Mg/m³
Calculated total energy = -5.8848 eV/atom
Energy above the lowest structure with this stoichiometry = 35 meV/atom
MP2020-corrected energy = -340.8 eV for the cell shown
Total magnetization = 15.0 μB/f.u.

---

Record 6
Computed, not measured: KNbWO7 after structural relaxation at the PBE+U level of DFT.

Structure (CIF):
```
data_KNbWO7
_space_group_name_H-M_alt 'I m m a'
_space_group_IT_number 74
_space_group_name_Hall '-I 2b 2'
_cell_length_a 7.550
_cell_length_b 7.558
_cell_length_c 10.503
_cell_angle_alpha 90.00
_cell_angle_beta 90.00
_cell_angle_gamma 90.00
loop_
_atom_site_label
_atom_site_type_symbol
_atom_site_fract_x
_atom_site_fract_y
_atom_site_fract_z
K1 K 0.250 0.250 0.250
Nb1 Nb 0.000 0.000 0.000
W1 W 0.250 0.250 0.750
O1 O 0.000 0.250 0.064
O2 O 0.000 0.250 0.466
O3 O 0.000 0.250 0.688
O4 O 0.183 0.069 0.870
```

ΔH_f (0 K) = -2048 kJ/mol of formula units
ρ = 4.74 Mg/m³
Calculated total energy = -7.0789 eV/atom
MP2020-corrected energy = -320.1 eV for the cell shown
Total magnetization = 2.0 μB/f.u.

---

Record 7
Computed, not measured: VF5 after structural relaxation at the PBE+U level of DFT.

Structure (CIF):
```
data_VF5
_space_group_name_H-M_alt 'P 1 21/c 1'
_space_group_IT_number 14
_cell_length_a 5.360
_cell_length_b 9.202
_cell_length_c 9.541
_cell_angle_alpha 90.00
_cell_angle_beta 119.84
_cell_angle_gamma 90.00
loop_
_space_group_symop_operation_xyz
'x,y,z'
'-x,-y,-z'
'-x,y+1/2,-z+1/2'
'x,-y+1/2,z+1/2'
loop_
_atom_site_label
_atom_site_type_symbol
_atom_site_fract_x
_atom_site_fract_y
_atom_site_fract_z
V1 V 0.000 0.123 0.122
F1 F 0.024 0.028 0.769
F2 F 0.027 0.249 0.990
F3 F 0.254 0.511 0.573
F4 F 0.281 0.715 0.375
F5 F 0.312 0.188 0.289
```

ΔH_f (0 K) = -1618 kJ/mol of formula units
ρ = 2.37 Mg/m³
Calculated total energy = -5.2357 eV/atom
MP2020-corrected energy = -141.7 eV for the cell shown

---

Record 8
Computed, not measured: Li2Mn2OF6 after structural relaxation at the PBE+U level of DFT.

Structure (CIF):
```
data_Li2Mn2OF6
_space_group_name_H-M_alt 'P -1'
_space_group_IT_number 2
_cell_length_a 5.483
_cell_length_b 6.431
_cell_length_c 8.855
_cell_angle_alpha 72.08
_cell_angle_beta 76.28
_cell_angle_gamma 85.06
loop_
_space_group_symop_operation_xyz
'x,y,z'
'-x,-y,-z'
loop_
_atom_site_label
_atom_site_type_symbol
_atom_site_fract_x
_atom_site_fract_y
_atom_site_fract_z
Li1 Li 0.049 0.242 0.360
Li2 Li 0.414 0.605 0.730
Mn1 Mn 0.169 0.000 0.823
Mn2 Mn 0.289 0.797 0.303
O1 O 0.036 0.103 0.639
F1 F 0.095 0.711 0.845
F2 F 0.207 0.917 0.051
F3 F 0.239 0.504 0.296
F4 F 0.299 0.705 0.539
F5 F 0.352 0.274 0.779
F6 F 0.435 0.090 0.261
```

ΔH_f (0 K) = -2917 kJ/mol of formula units
ρ = 2.92 Mg/m³
Calculated total energy = -5.6380 eV/atom
Energy above the lowest structure with this stoichiometry = 62 meV/atom
MP2020-corrected energy = -137.6 eV for the cell shown
Total magnetization = 8.0 μB/f.u.

---

Record 9
Computed, not measured: Fe3P2O16 after structural relaxation at the PBE+U level of DFT.

Structure (CIF):
```
data_Fe3P2O16
_space_group_name_H-M_alt 'C 1 2/m 1'
_space_group_IT_number 12
_cell_length_a 10.999
_cell_length_b 14.326
_cell_length_c 4.437
_cell_angle_alpha 90.00
_cell_angle_beta 111.58
_cell_angle_gamma 90.00
loop_
_space_group_symop_operation_xyz
'x,y,z'
'-x,-y,-z'
'-x,y,-z'
'x,-y,z'
'x+1/2,y+1/2,z'
'-x+1/2,-y+1/2,-z'
'-x+1/2,y+1/2,-z'
'x+1/2,-y+1/2,z'
loop_
_atom_site_label
_atom_site_type_symbol
_atom_site_fract_x
_atom_site_fract_y
_atom_site_fract_z
Fe1 Fe 0.000 0.000 0.000
Fe2 Fe 0.000 0.395 0.000
P1 P 0.176 0.500 0.692
O1 O 0.035 0.091 0.651
O2 O 0.045 0.260 0.148
O3 O 0.097 0.500 0.315
O4 O 0.141 0.409 0.827
O5 O 0.178 0.000 0.263
```

ΔH_f (0 K) = -2319 kJ/mol of formula units
ρ = 2.48 Mg/m³
Calculated total energy = -6.1949 eV/atom
Energy above the lowest structure with this stoichiometry = 10 meV/atom
MP2020-corrected energy = -278.9 eV for the cell shown
Total magnetization = 10.0 μB/f.u.

---

Record 10
Computed, not measured: Li2Fe3F8 after structural relaxation at the PBE+U level of DFT.

Structure (CIF):
```
data_Li2Fe3F8
_space_group_name_H-M_alt 'I 41/a'
_space_group_IT_number 88
_cell_length_a 10.967
_cell_length_b 10.967
_cell_length_c 10.081
_cell_angle_alpha 90.00
_cell_angle_beta 90.00
_cell_angle_gamma 90.00
loop_
_space_group_symop_operation_xyz
'x,y,z'
'-x,-y,-z'
'-y+3/4,x+1/4,z+1/4'
'y+3/4,-x+1/4,-z+1/4'
'-x+1/2,-y,z+1/2'
'x+1/2,y,-z+1/2'
'y+3/4,-x+3/4,z+3/4'
'-y+3/4,x+3/4,-z+3/4'
'x+1/2,y+1/2,z+1/2'
'-x+1/2,-y+1/2,-z+1/2'
'-y+1/4,x+3/4,z+3/4'
'y+1/4,-x+3/4,-z+3/4'
'-x,-y+1/2,z'
'x,y+1/2,-z'
'y+1/4,-x+1/4,z+1/4'
'-y+1/4,x+1/4,-z+1/4'
loop_
_atom_site_label
_atom_site_type_symbol
_atom_site_fract_x
_atom_site_fract_y
_atom_site_fract_z
Li1 Li 0.092 0.056 0.380
Fe1 Fe 0.000 0.250 0.125
Fe2 Fe 0.000 0.250 0.625
Fe3 Fe 0.135 0.056 0.896
F1 F 0.031 0.382 0.978
F2 F 0.041 0.381 0.499
F3 F 0.046 0.449 0.240
F4 F 0.213 0.480 0.734
```

ΔH_f (0 K) = -3390 kJ/mol of formula units
ρ = 3.65 Mg/m³
Calculated total energy = -5.3241 eV/atom
Energy above the lowest structure with this stoichiometry = 39 meV/atom
MP2020-corrected energy = -637.4 eV for the cell shown
Total magnetization = 12.0 μB/f.u.

---

> Which formula does entry 8 have?

Li2Mn2OF6

---

> Among the records above, which one has the lowest calculated total energy?

Be3Fe4Si3TeO12

---

> Which value of ΔH_f (0 K) does entry 4 give?

-2698 kJ/mol of formula units